[1]
VASP calculation (GGA-PBE) on LiMg14Mo after structural relaxation.

Lattice parameters (Å, degrees): 6.292 6.376 9.949 90.00 90.00 120.44
Atoms (fractional coordinates):
Mg  0.666  0.832  0.625
Mg  0.667  0.831  0.125
Mg  0.835  0.167  0.877
Mg  0.835  0.167  0.373
Mg  0.168  0.834  0.625
Mg  0.324  0.669  0.887
Mg  0.667  0.336  0.125
Mg  0.324  0.155  0.363
Mg  0.845  0.673  0.884
Mg  0.324  0.669  0.363
Mg  0.666  0.334  0.625
Mg  0.324  0.155  0.887
Mg  0.845  0.673  0.366
Mg  0.170  0.335  0.625
Mo  0.171  0.835  0.125
Li  0.170  0.335  0.125

Summary:
The offset from the most stable computed form is 10 meV per atom. The space-group type is Amm2. The electronic total energy is -2.09 eV/atom.

=====

[2]
VASP calculation (GGA-PBE) on Li28Mg22N25 after structural relaxation.

Lattice parameters (Å, degrees): 3.531 3.531 88.556 60.11 60.11 60.00
Atoms (fractional coordinates):
N  0.002  0.002  0.920
N  0.003  0.003  0.640
N  0.999  0.999  0.040
N  0.000  0.000  0.160
N  0.004  0.004  0.800
N  0.001  0.001  0.560
N  0.002  0.002  0.600
N  0.997  0.997  0.840
N  0.000  0.000  0.880
N  0.002  0.002  0.760
N  0.997  0.997  0.680
N  0.000  0.000  0.280
N  0.004  0.004  0.960
N  0.000  0.000  0.360
N  0.000  0.000  0.320
N  0.000  0.000  0.720
N  0.000  0.000  0.480
N  0.000  0.000  0.440
N  0.000  0.000  0.200
N  0.000  0.000  0.520
N  0.000  0.000  0.080
N  0.997  0.997  0.000
N  0.000  0.000  0.120
N  0.000  0.000  0.240
N  0.000  0.000  0.400
Mg  0.250  0.250  0.410
Mg  0.250  0.250  0.130
Mg  0.250  0.250  0.370
Mg  0.255  0.255  0.689
Mg  0.255  0.255  0.849
Mg  0.250  0.250  0.290
Mg  0.251  0.251  0.530
Mg  0.250  0.250  0.450
Mg  0.254  0.254  0.010
Mg  0.250  0.250  0.090
Mg  0.250  0.250  0.250
Mg  0.250  0.250  0.170
Mg  0.248  0.248  0.930
Mg  0.250  0.250  0.330
Mg  0.250  0.250  0.490
Mg  0.250  0.250  0.050
Mg  0.251  0.251  0.890
Mg  0.250  0.250  0.210
Mg  0.248  0.248  0.770
Mg  0.251  0.251  0.730
Mg  0.250  0.250  0.570
Mg  0.247  0.247  0.610
Li  0.247  0.247  0.650
Li  0.769  0.769  0.828
Li  0.749  0.749  0.750
Li  0.750  0.750  0.470
Li  0.751  0.751  0.030
Li  0.750  0.750  0.550
Li  0.750  0.750  0.350
Li  0.750  0.750  0.070
Li  0.751  0.751  0.870
Li  0.750  0.750  0.150
Li  0.750  0.750  0.390
Li  0.750  0.750  0.190
Li  0.769  0.769  0.988
Li  0.730  0.730  0.952
Li  0.749  0.749  0.110
Li  0.749  0.749  0.910
Li  0.751  0.751  0.710
Li  0.246  0.246  0.810
Li  0.750  0.750  0.310
Li  0.749  0.749  0.590
Li  0.729  0.729  0.633
Li  0.245  0.245  0.971
Li  0.769  0.769  0.668
Li  0.750  0.750  0.230
Li  0.730  0.730  0.792
Li  0.750  0.750  0.510
Li  0.750  0.750  0.270
Li  0.750  0.750  0.430

Summary:
The space-group type is R3m. The electronic total energy is -4.53 eV/atom.

=====

[3]
VASP calculation (GGA-PBE) on LiMg7N5 after structural relaxation.

Lattice parameters (Å, degrees): 8.691 8.710 14.219 90.08 90.12 109.75
Atoms (fractional coordinates):
Li  0.599  0.600  0.381
Li  0.485  0.260  0.251
Li  0.026  0.714  0.258
Li  0.337  0.889  0.623
Li  0.138  0.087  0.636
Li  0.845  0.391  0.119
N  0.508  0.008  0.494
N  0.252  0.254  0.753
N  0.098  0.842  0.125
N  0.589  0.340  0.124
N  0.985  0.513  0.764
N  0.361  0.636  0.607
N  0.236  0.273  0.510
N  0.900  0.158  0.374
N  0.592  0.344  0.622
N  0.403  0.664  0.372
N  0.739  0.766  0.017
N  0.006  0.502  0.997
N  0.748  0.750  0.749
N  0.264  0.234  0.986
N  0.397  0.609  0.140
N  0.996  0.497  0.500
N  0.905  0.155  0.876
N  0.408  0.659  0.875
N  0.243  0.246  0.248
N  0.883  0.108  0.641
N  0.085  0.834  0.624
N  0.483  0.018  0.265
N  0.500  0.001  0.002
N  0.518  0.988  0.737
N  0.859  0.133  0.109
N  0.762  0.730  0.480
N  0.027  0.485  0.237
N  0.108  0.898  0.362
N  0.611  0.393  0.860
N  0.141  0.861  0.890
Mg  0.163  0.160  0.382
Mg  0.736  0.499  0.733
Mg  0.479  0.787  0.241
Mg  0.155  0.611  0.880
Mg  0.847  0.377  0.885
Mg  0.231  0.001  0.230
Mg  0.269  0.493  0.271
Mg  0.362  0.402  0.637
Mg  0.361  0.405  0.869
Mg  0.979  0.241  0.523
Mg  0.854  0.860  0.616
Mg  0.878  0.912  0.384
Mg  0.034  0.756  0.485
Mg  0.036  0.272  0.005
Mg  0.251  0.987  0.020
Mg  0.007  0.777  0.765
Mg  0.435  0.204  0.516
Mg  0.020  0.284  0.743
Mg  0.477  0.208  0.755
Mg  0.631  0.578  0.110
Mg  0.991  0.230  0.227
Mg  0.763  0.002  0.771
Mg  0.399  0.908  0.863
Mg  0.534  0.772  0.507
Mg  0.651  0.087  0.375
Mg  0.526  0.255  0.982
Mg  0.610  0.108  0.138
Mg  0.493  0.733  0.729
Mg  0.654  0.653  0.883
Mg  0.900  0.920  0.119
Mg  0.341  0.341  0.116
Mg  0.651  0.114  0.617
Mg  0.937  0.416  0.365
Mg  0.255  0.516  0.480
Mg  0.339  0.883  0.388
Mg  0.143  0.612  0.117
Mg  0.763  0.505  0.537
Mg  0.112  0.603  0.638
Mg  0.965  0.726  0.993
Mg  0.127  0.095  0.865
Mg  0.746  0.017  0.979
Mg  0.470  0.750  0.017

Summary:
The space-group type is P1. The electronic total energy is -4.86 eV/atom.

=====

[4]
VASP calculation (GGA-PBE) on NaLiMg6 after structural relaxation.

Lattice parameters (Å, degrees): 5.241 6.446 11.152 90.00 90.00 90.00
Atoms (fractional coordinates):
Mg  0.000  0.753  0.082
Mg  0.000  0.253  0.582
Mg  0.500  0.000  0.166
Mg  0.500  0.252  0.417
Mg  0.500  0.748  0.417
Mg  0.000  0.747  0.582
Mg  0.500  0.248  0.917
Mg  0.500  0.752  0.917
Mg  0.000  0.247  0.082
Mg  0.500  0.500  0.666
Mg  0.000  0.000  0.333
Mg  0.000  0.500  0.833
Li  0.000  0.000  0.835
Li  0.000  0.500  0.335
Na  0.500  0.000  0.668
Na  0.500  0.500  0.168

Summary:
The offset from the most stable computed form is 0 meV per atom. The electronic total energy is -1.56 eV/atom.

=====

[5]
VASP calculation (GGA-PBE) on NaLiMg14 after structural relaxation.

Lattice parameters (Å, degrees): 6.466 6.466 10.186 90.00 90.00 120.00
Atoms (fractional coordinates):
Mg  0.168  0.834  0.625
Mg  0.833  0.166  0.879
Mg  0.334  0.667  0.879
Mg  0.334  0.166  0.371
Mg  0.334  0.667  0.371
Mg  0.168  0.834  0.125
Mg  0.833  0.667  0.376
Mg  0.334  0.166  0.879
Mg  0.666  0.834  0.125
Mg  0.666  0.332  0.625
Mg  0.666  0.834  0.625
Mg  0.833  0.166  0.371
Mg  0.833  0.667  0.874
Mg  0.666  0.332  0.125
Li  0.167  0.333  0.125
Na  0.167  0.333  0.625

Summary:
The offset from the most stable computed form is 4 meV per atom. The space-group type is P-6m2. The electronic total energy is -1.58 eV/atom.

=====

[6]
VASP calculation (GGA-PBE) on NaLiMg14 after structural relaxation.

Lattice parameters (Å, degrees): 6.453 6.410 10.348 90.00 90.00 119.78
Atoms (fractional coordinates):
Mg  0.666  0.333  0.625
Mg  0.668  0.834  0.125
Mg  0.334  0.170  0.379
Mg  0.167  0.334  0.625
Mg  0.334  0.664  0.379
Mg  0.834  0.167  0.373
Mg  0.666  0.833  0.625
Mg  0.167  0.834  0.625
Mg  0.334  0.170  0.871
Mg  0.668  0.334  0.125
Mg  0.834  0.167  0.877
Mg  0.830  0.665  0.871
Mg  0.830  0.665  0.379
Mg  0.334  0.664  0.871
Na  0.166  0.833  0.125
Li  0.166  0.333  0.125

Summary:
The offset from the most stable computed form is 0 meV per atom. The space-group type is Amm2. The electronic total energy is -1.58 eV/atom.